(1)
The following is a PBE calculation of an optimized crystal structure of SmMn6Sn6, from the Materials Project.

ΔE_f, eV/f.u.: -1.72
Magnetic moment, μB per cell: 77.92

Unit cell a=5.493 b=9.048 c=28.443 alpha=90.00 beta=90.00 gamma=90.00
Space group Immm (No. 71)
One atom of each set of equivalent atoms:
Sm 0.000 0.000 0.000 x2
Sm 0.000 0.500 0.331 x4
Mn 0.000 0.250 0.167 x8
Mn 0.000 0.251 0.500 x4
Mn 0.249 0.249 0.083 x16
Mn 0.250 0.250 0.250 x8
Sn 0.000 0.000 0.112 x4
Sn 0.000 0.000 0.224 x4
Sn 0.000 0.000 0.445 x4
Sn 0.000 0.166 0.334 x8
Sn 0.000 0.334 0.000 x4
Sn 0.000 0.500 0.110 x4
Sn 0.000 0.500 0.220 x4
Sn 0.000 0.500 0.444 x4



(2)
The following is a PBE calculation of an optimized crystal structure of MnSn3, from the Materials Project.

ΔE_f, eV/f.u.: 1.07
Magnetic moment, μB per cell: 8.16

Unit cell a=4.526 b=4.526 c=9.579 alpha=90.00 beta=90.00 gamma=90.00
Space group I4/mmm (No. 139)
One atom of each set of equivalent atoms:
Mn 0.000 0.000 0.000 x2
Sn 0.000 0.000 0.500 x2
Sn 0.000 0.500 0.250 x4



(3)
The following is a PBE calculation of an optimized crystal structure of MnSn3, from the Materials Project.

ΔE_f, eV/f.u.: 1.12
Magnetic moment, μB per cell: 8.18

Unit cell a=6.4393 b=6.4393 c=5.4642 alpha=90.00 beta=90.00 gamma=120.00
Space group P6_3/mmc (No. 194)
One atom of each set of equivalent atoms:
Mn 0.3333 0.6667 0.2500 x2
Sn 0.1710 0.3419 0.7500 x6



(4)
The following is a PBE calculation of an optimized crystal structure of MnSn2, from the Materials Project.

ΔE_f, eV/f.u.: 0.03
Magnetic moment, μB per cell: 8.81

Unit cell a=6.622 b=6.622 c=5.423 alpha=90.00 beta=90.00 gamma=90.00
Space group I4/mcm (No. 140)
One atom of each set of equivalent atoms:
Mn 0.000 0.000 0.250 x4
Sn 0.164 0.336 0.000 x8



(5)
The following is a PBE calculation of an optimized crystal structure of SrMnSn, from the Materials Project.

ΔE_f, eV/f.u.: -0.69
Magnetic moment, μB per cell: 8.37

Unit cell a=4.757 b=4.757 c=7.640 alpha=90.00 beta=90.00 gamma=90.00
Space group P4/nmm (No. 129, origin choice 2)
One atom of each set of equivalent atoms:
Sr 0.250 0.250 0.180 x2
Mn 0.250 0.750 0.500 x2
Sn 0.250 0.250 0.699 x2



(6)
The following is a PBE calculation of an optimized crystal structure of MnSnTe2, from the Materials Project.

ΔE_f, eV/f.u.: -0.71
Magnetic moment, μB per cell: 12.04

Unit cell a=4.0662 b=4.0662 c=20.6114 alpha=90.00 beta=90.00 gamma=120.00
Space group R-3m (No. 166, hexagonal axes)
One atom of each set of equivalent atoms:
Mn 0.0000 0.0000 0.0000 x3
Sn 0.0000 0.0000 0.5000 x3
Te 0.0000 0.0000 0.2718 x6



(7)
The following is a PBE calculation of an optimized crystal structure of TiMnSn4, from the Materials Project.

ΔE_f, eV/f.u.: -0.64
Magnetic moment, μB per cell: 6.71

Unit cell a=5.5281 b=5.5281 c=14.0113 alpha=90.00 beta=90.00 gamma=120.00
Space group P6_222 (No. 180)
One atom of each set of equivalent atoms:
Ti 0.0000 0.5000 0.1667 x3
Mn 0.0000 0.0000 0.1667 x3
Sn 0.0000 0.5000 0.5549 x6
Sn 0.1652 0.3304 0.0000 x6



(8)
The following is a PBE calculation of an optimized crystal structure of Ti2MnSn, from the Materials Project.

ΔE_f, eV/f.u.: -0.58
Magnetic moment, μB per cell: 4.20

Unit cell a=6.408 b=6.408 c=6.408 alpha=90.00 beta=90.00 gamma=90.00
Space group F-43m (No. 216)
One atom of each set of equivalent atoms:
Ti 0.000 0.000 0.000 x4
Ti 0.250 0.250 0.250 x4
Mn 0.250 0.250 0.750 x4
Sn 0.000 0.000 0.500 x4